(1)
NdSiPd2 after structural relaxation. Source: Materials Project, functional r2SCAN.

Cell and atoms, written as CIF:
```
data_NdSiPd2
_cell_length_a 7.543
_cell_length_b 6.913
_cell_length_c 5.687
_cell_angle_alpha 90.00
_cell_angle_beta 90.00
_cell_angle_gamma 90.00
_space_group_name_H-M_alt 'P n m a'
_space_group_IT_number 62
_space_group_name_Hall '-P 2ac 2n'
loop_
_atom_site_label
_atom_site_type_symbol
_atom_site_fract_x
_atom_site_fract_y
_atom_site_fract_z
Nd1 Nd 0.031 0.250 0.146
Si1 Si 0.126 0.750 0.351
Pd1 Pd 0.174 0.052 0.593
```

Summary:
DFT formation energy   -945 meV/atom
Uncorrected energy   -351.6 eV for the cell shown

(2)
GdZnGe after structural relaxation. Source: Materials Project, functional r2SCAN.

Cell and atoms, written as CIF:
```
data_GdZnGe
_cell_length_a 4.2186
_cell_length_b 4.2186
_cell_length_c 16.0248
_cell_angle_alpha 90.00
_cell_angle_beta 90.00
_cell_angle_gamma 120.00
_space_group_name_H-M_alt 'P 63/m m c'
_space_group_IT_number 194
_space_group_name_Hall '-P 6c 2c'
loop_
_atom_site_label
_atom_site_type_symbol
_atom_site_fract_x
_atom_site_fract_y
_atom_site_fract_z
Gd1 Gd 0.0000 0.0000 0.0000
Gd2 Gd 0.0000 0.0000 0.2500
Zn1 Zn 0.3333 0.6667 0.1469
Ge1 Ge 0.3333 0.6667 0.6144
```

Summary:
DFT formation energy   -738 meV/atom
Uncorrected energy   -273.6 eV for the cell shown

(3)
RbInTe2 after structural relaxation. Source: Materials Project, functional r2SCAN.

Cell and atoms, written as CIF:
```
data_RbInTe2
_cell_length_a 8.983
_cell_length_b 8.983
_cell_length_c 7.446
_cell_angle_alpha 90.00
_cell_angle_beta 90.00
_cell_angle_gamma 90.00
_space_group_name_H-M_alt 'I 4/m c m'
_space_group_IT_number 140
_space_group_name_Hall '-I 4 2c'
loop_
_atom_site_label
_atom_site_type_symbol
_atom_site_fract_x
_atom_site_fract_y
_atom_site_fract_z
Rb1 Rb 0.000 0.000 0.250
In1 In 0.000 0.500 0.250
Te1 Te 0.168 0.332 0.000
```

Summary:
DFT formation energy   -900 meV/atom
Uncorrected energy   -363.8 eV for the cell shown

Number 1: calculated density 8.63 g/cm³. Number 2: calculated density 7.94 g/cm³. Number 3: calculated density 5.04 g/cm³.